(1)
First-principles (GGA+U) data for a relaxed structure of Mg4Ni5Te3O18, as listed in Materials Project.

a = 8.660 Å, b = 8.660 Å, c = 10.317 Å
α = 85.20°, β = 85.20°, γ = 61.75°
Sites, in units of the cell vectors:
Mg  0.059  0.341  0.578
Mg  0.341  0.059  0.078
Mg  0.941  0.659  0.422
Mg  0.361  0.676  0.962
Mg  0.676  0.361  0.462
Mg  0.324  0.639  0.538
Mg  0.639  0.324  0.038
Mg  0.659  0.941  0.922
O  0.254  0.554  0.698
O  0.569  0.242  0.703
O  0.925  0.931  0.666
O  0.278  0.228  0.663
O  0.409  0.109  0.894
O  0.095  0.764  0.434
O  0.425  0.407  0.443
O  0.912  0.240  0.061
O  0.760  0.088  0.439
O  0.591  0.891  0.106
O  0.446  0.746  0.802
O  0.772  0.722  0.837
O  0.431  0.758  0.297
O  0.236  0.905  0.066
O  0.931  0.925  0.166
O  0.905  0.236  0.566
O  0.746  0.446  0.302
O  0.895  0.557  0.118
O  0.758  0.431  0.797
O  0.088  0.760  0.939
O  0.105  0.443  0.882
O  0.575  0.593  0.557
O  0.764  0.095  0.934
O  0.069  0.075  0.834
O  0.407  0.425  0.943
O  0.240  0.912  0.561
O  0.109  0.409  0.394
O  0.242  0.569  0.203
O  0.228  0.278  0.163
O  0.891  0.591  0.606
O  0.443  0.105  0.382
O  0.593  0.575  0.057
O  0.722  0.772  0.337
O  0.554  0.254  0.198
O  0.075  0.069  0.334
O  0.557  0.895  0.618
Te  0.656  0.666  0.201
Te  0.334  0.344  0.299
Te  0.000  0.000  0.500
Te  0.344  0.334  0.799
Te  0.666  0.656  0.701
Te  0.000  0.000  0.000
Ni  0.143  0.523  0.050
Ni  0.824  0.176  0.750
Ni  0.012  0.692  0.770
Ni  0.692  0.012  0.270
Ni  0.523  0.143  0.550
Ni  0.308  0.988  0.730
Ni  0.176  0.824  0.250
Ni  0.857  0.477  0.950
Ni  0.988  0.308  0.230
Ni  0.477  0.857  0.450

## Properties
electronic total energy = -330.1 eV per cell
energy of formation from the pure elements = -1.8772 eV/atom
SG = No. 15
magnetization = 10.00 μB per formula unit

=====

(2)
First-principles (GGA+U) data for a relaxed structure of MgV2NiTe2O10, as listed in Materials Project.

a = 5.080 Å, b = 6.484 Å, c = 7.147 Å
α = 90.67°, β = 61.46°, γ = 77.68°
Sites, in units of the cell vectors:
Ni  0.004  0.497  0.993
O  0.282  0.191  0.922
O  0.779  0.897  0.553
O  0.232  0.096  0.440
O  0.949  0.462  0.693
O  0.682  0.290  0.144
O  0.606  0.331  0.554
O  0.407  0.662  0.436
O  0.727  0.803  0.068
O  0.327  0.703  0.847
O  0.063  0.532  0.300
Te  0.721  0.151  0.729
Te  0.288  0.843  0.264
V  0.341  0.378  0.398
V  0.671  0.615  0.594
Mg  0.005  0.996  0.996

## Properties
energy above the lowest structure with this stoichiometry = 0.022 eV per atom
electronic total energy = -99.1 eV per cell
energy of formation from the pure elements = -1.9094 eV/atom
SG = No. 1
magnetization = 4.00 μB per formula unit